A plane-wave DFT calculation with PBE with a Hubbard U was carried out for an optimized crystal structure of Fe5O8F2.

a b c (Å): 15.0915 4.6552 4.6566
angles (deg): 90.00 90.00 90.00
Last column: nearest neighbours and their distance in Å.
Space group Pmn2_1 (No. 31)
Asymmetric unit:
Fe1 0.0000 0.2400 0.9996 (multiplicity 2)  4 O 1.92-2.03, 2 F 2.05
Fe2 0.0992 0.7700 0.5290 (multiplicity 4)  5 O 1.95-1.97, 1 F 2.09
Fe3 0.2053 0.2450 0.0000 (multiplicity 4)  5 O 1.93-2.03, 1 F 2.11
O1 0.0000 0.5647 0.7071 (multiplicity 2)  3 Fe 1.96-2.03
O2 0.0000 0.9477 0.3224 (multiplicity 2)  3 Fe 1.96-2.03
O3 0.1028 0.0705 0.8262 (multiplicity 4)  3 Fe 1.92-1.97
O4 0.1955 0.9509 0.3166 (multiplicity 4)  3 Fe 1.95-2.02
O5 0.1984 0.5623 0.7023 (multiplicity 4)  3 Fe 1.95-2.03
F1 0.0996 0.4541 0.2112 (multiplicity 4)  3 Fe 2.05-2.11

Values from the calculation:
E above lowest polymorph = 0.013 eV/atom
crystal system = orthorhombic
E_tot = -6.11 eV/atom
spin magnetization = 1.469 μB/atom